1.
A plane-wave DFT calculation with PBE was carried out for a relaxed Tb2AlCo2 crystal.

Unit cell a=4.026 b=5.421 c=5.421 alpha=60.78 beta=68.21 gamma=68.21
Atoms (fractional coordinates):
Al 0.000 0.000 0.000
Co 0.500 0.277 0.723
Co 0.500 0.723 0.277
Tb 0.797 0.703 0.703
Tb 0.203 0.297 0.297

Total energy in eV/atom: -5.82

2.
A plane-wave DFT calculation with PBE was carried out for a relaxed BaH2CSNClO crystal.

Unit cell a=4.820 b=5.918 c=20.418 alpha=90.00 beta=90.00 gamma=90.00
Atoms (fractional coordinates):
Ba 0.750 0.738 0.583
Ba 0.250 0.262 0.417
Ba 0.250 0.762 0.083
Ba 0.750 0.238 0.917
C 0.750 0.695 0.356
C 0.250 0.805 0.856
C 0.750 0.195 0.144
C 0.250 0.305 0.644
O 0.250 0.854 0.216
O 0.750 0.146 0.784
O 0.250 0.354 0.284
O 0.750 0.646 0.716
S 0.750 0.958 0.331
S 0.250 0.042 0.669
S 0.250 0.542 0.831
S 0.750 0.458 0.169
N 0.750 0.503 0.372
N 0.750 0.003 0.128
N 0.250 0.497 0.628
N 0.250 0.997 0.872
Cl 0.250 0.262 0.021
Cl 0.750 0.238 0.521
Cl 0.250 0.762 0.479
Cl 0.750 0.738 0.979
H 0.088 0.388 0.257
H 0.412 0.888 0.243
H 0.412 0.388 0.257
H 0.588 0.612 0.743
H 0.588 0.112 0.757
H 0.088 0.888 0.243
H 0.912 0.112 0.757
H 0.912 0.612 0.743

Total energy in eV/atom: -5.72

3.
A plane-wave DFT calculation with PBE was carried out for a relaxed Cd3As2O8 crystal.

Unit cell a=12.341 b=6.731 c=9.485 alpha=81.85 beta=90.00 gamma=90.00
Atoms (fractional coordinates):
Cd 0.616 0.654 0.944
Cd 0.693 0.372 0.358
Cd 0.425 0.833 0.279
Cd 0.884 0.154 0.944
Cd 0.384 0.346 0.056
Cd 0.116 0.846 0.056
Cd 0.075 0.333 0.279
Cd 0.193 0.128 0.642
Cd 0.807 0.872 0.358
Cd 0.575 0.167 0.721
Cd 0.307 0.628 0.642
Cd 0.925 0.667 0.721
O 0.795 0.603 0.925
O 0.130 0.635 0.293
O 0.064 0.610 0.882
O 0.769 0.626 0.217
O 0.436 0.110 0.882
O 0.540 0.253 0.471
O 0.231 0.374 0.783
O 0.066 0.168 0.921
O 0.295 0.897 0.075
O 0.960 0.753 0.471
O 0.079 0.017 0.265
O 0.936 0.390 0.118
O 0.421 0.517 0.265
O 0.579 0.483 0.735
O 0.180 0.841 0.525
O 0.705 0.103 0.925
O 0.434 0.668 0.921
O 0.731 0.126 0.217
O 0.205 0.397 0.075
O 0.269 0.874 0.783
O 0.370 0.135 0.293
O 0.630 0.865 0.707
O 0.320 0.341 0.525
O 0.566 0.332 0.079
O 0.680 0.659 0.475
O 0.870 0.365 0.707
O 0.460 0.747 0.529
O 0.820 0.159 0.475
O 0.921 0.983 0.735
O 0.934 0.832 0.079
O 0.040 0.247 0.529
O 0.564 0.890 0.118
As 0.914 0.189 0.605
As 0.586 0.689 0.605
As 0.637 0.110 0.083
As 0.414 0.311 0.395
As 0.863 0.610 0.083
As 0.363 0.890 0.917
As 0.086 0.811 0.395
As 0.137 0.390 0.917

Total energy in eV/atom: -5.22

Number 3 is which compound? Cd3As2O8